Here is a geometry-optimized Ba8EuB6N12 structure from the Materials Project database. Energies are from PBE.

## Properties
As for the space-group type: Pm-3m.

CIF file:
```
data_Ba8EuB6N12
_chemical_formula_sum 'Ba8 Eu1 B6 N12'
_space_group_name_H-M_alt 'P 1'
_space_group_IT_number 1
_cell_length_a 8.0308
_cell_length_b 8.0308
_cell_length_c 8.0308
_cell_angle_alpha 90.00
_cell_angle_beta 90.00
_cell_angle_gamma 90.00
loop_
_space_group_symop_operation_xyz
'x,y,z'
loop_
_atom_site_label
_atom_site_fract_x
_atom_site_fract_y
_atom_site_fract_z
Ba1 0.7382 0.7382 0.2618
Ba2 0.7382 0.7382 0.7382
Ba3 0.2618 0.7382 0.2618
Ba4 0.2618 0.2618 0.7382
Ba5 0.2618 0.7382 0.7382
B1 0.5000 0.5000 0.0000
N1 0.5000 0.5000 0.1678
N2 0.1678 0.5000 0.5000
B2 0.0000 0.5000 0.5000
N3 0.5000 0.8322 0.5000
B3 0.5000 0.0000 0.0000
B4 0.0000 0.5000 0.0000
N4 0.5000 0.5000 0.8322
Ba6 0.2618 0.2618 0.2618
B5 0.0000 0.0000 0.5000
N5 0.0000 0.0000 0.6698
N6 0.0000 0.3302 0.0000
N7 0.0000 0.0000 0.3302
N8 0.0000 0.6698 0.0000
Eu1 0.0000 0.0000 0.0000
N9 0.6698 0.0000 0.0000
N10 0.8322 0.5000 0.5000
B6 0.5000 0.0000 0.5000
Ba7 0.7382 0.2618 0.2618
N11 0.5000 0.1678 0.5000
Ba8 0.7382 0.2618 0.7382
N12 0.3302 0.0000 0.0000
```



Here is a geometry-optimized Ba3EuB9O18 structure from the Materials Project database. Energies are from PBE.

## Properties
As for the space-group type: P6_3/m.

CIF file:
```
data_Ba3EuB9O18
_chemical_formula_sum 'Ba6 Eu2 B18 O36'
_space_group_name_H-M_alt 'P 1'
_space_group_IT_number 1
_cell_length_a 7.3047
_cell_length_b 7.3047
_cell_length_c 17.8021
_cell_angle_alpha 90.00
_cell_angle_beta 90.00
_cell_angle_gamma 120.00
loop_
_space_group_symop_operation_xyz
'x,y,z'
loop_
_atom_site_label
_atom_site_fract_x
_atom_site_fract_y
_atom_site_fract_z
O1 0.7464 0.9956 0.5827
Ba1 0.3333 0.6667 0.3674
O2 0.6209 0.1242 0.4183
O3 0.2536 0.0044 0.4173
O4 0.1242 0.5033 0.9183
B1 0.1652 0.7143 0.5822
B2 0.3779 0.8825 0.7500
O5 0.6666 0.5875 0.7500
Ba2 0.0000 0.0000 0.7500
Ba3 0.6667 0.3333 0.8674
O6 0.7507 0.7464 0.0827
B3 0.8825 0.5046 0.2500
O7 0.0044 0.7507 0.9173
O8 0.4125 0.0791 0.7500
B4 0.2857 0.4509 0.9178
Ba4 0.6667 0.3333 0.6326
B5 0.7143 0.5491 0.4178
B6 0.4509 0.1652 0.0822
O9 0.4967 0.6209 0.9183
Eu1 0.0000 0.0000 0.5000
B7 0.5491 0.8348 0.5822
O10 0.1677 0.7088 0.7500
O11 0.2912 0.4589 0.7500
O12 0.9209 0.3334 0.7500
O13 0.8323 0.2912 0.2500
B8 0.6221 0.1175 0.2500
B9 0.1652 0.7143 0.9178
B10 0.8348 0.2857 0.4178
O14 0.3334 0.4125 0.2500
Ba5 0.3333 0.6667 0.1326
B11 0.5491 0.8348 0.9178
O15 0.2536 0.0044 0.0827
O16 0.6209 0.1242 0.0817
B12 0.7143 0.5491 0.0822
B13 0.1175 0.4954 0.7500
O17 0.4967 0.6209 0.5817
B14 0.2857 0.4509 0.5822
O18 0.4589 0.1677 0.2500
Ba6 0.0000 0.0000 0.2500
B15 0.4509 0.1652 0.4178
O19 0.2493 0.2536 0.5827
O20 0.2493 0.2536 0.9173
B16 0.8348 0.2857 0.0822
O21 0.0791 0.6666 0.2500
O22 0.0044 0.7507 0.5827
O23 0.3791 0.8758 0.5817
O24 0.3791 0.8758 0.9183
O25 0.7507 0.7464 0.4173
Eu2 0.0000 0.0000 0.0000
O26 0.9956 0.2493 0.4173
O27 0.7464 0.9956 0.9173
O28 0.1242 0.5033 0.5817
B17 0.4954 0.3779 0.2500
O29 0.5033 0.3791 0.4183
B18 0.5046 0.6221 0.7500
O30 0.5411 0.8323 0.7500
O31 0.5033 0.3791 0.0817
O32 0.5875 0.9209 0.2500
O33 0.7088 0.5411 0.2500
O34 0.8758 0.4967 0.4183
O35 0.8758 0.4967 0.0817
O36 0.9956 0.2493 0.0827
```



Here is a geometry-optimized BaB2F8 structure from the Materials Project database. Energies are from PBE.

## Properties
For the energy above the lowest structure with this stoichiometry, the calculation gives 0.0 meV/atom. As for the space-group type: C2/m.

CIF file:
```
data_BaB2F8
_chemical_formula_sum 'Ba1 B2 F8'
_space_group_name_H-M_alt 'P 1'
_space_group_IT_number 1
_cell_length_a 6.8739
_cell_length_b 6.8739
_cell_length_c 4.8565
_cell_angle_alpha 69.63
_cell_angle_beta 69.63
_cell_angle_gamma 43.64
loop_
_space_group_symop_operation_xyz
'x,y,z'
loop_
_atom_site_label
_atom_site_fract_x
_atom_site_fract_y
_atom_site_fract_z
F1 0.6008 0.6008 0.0738
F2 0.6122 0.1565 0.5326
F3 0.2295 0.2295 0.8509
F4 0.8435 0.3878 0.4674
Ba1 0.0000 0.0000 0.0000
F5 0.3878 0.8435 0.4674
B1 0.3477 0.3477 0.7086
F6 0.7705 0.7705 0.1491
F7 0.1565 0.6122 0.5326
B2 0.6523 0.6523 0.2914
F8 0.3992 0.3992 0.9262
```



Here is a geometry-optimized BaB2F8 structure from the Materials Project database. Energies are from PBE.

## Properties
For the energy above the lowest structure with this stoichiometry, the calculation gives 27.2 meV/atom. As for the space-group type: P2_1/c.

CIF file:
```
data_BaB2F8
_chemical_formula_sum 'Ba8 B16 F64'
_space_group_name_H-M_alt 'P 1'
_space_group_IT_number 1
_cell_length_a 16.5943
_cell_length_b 8.4791
_cell_length_c 10.9942
_cell_angle_alpha 64.61
_cell_angle_beta 90.00
_cell_angle_gamma 90.00
loop_
_space_group_symop_operation_xyz
'x,y,z'
loop_
_atom_site_label
_atom_site_fract_x
_atom_site_fract_y
_atom_site_fract_z
B1 0.2374 0.2471 0.9297
F1 0.8297 0.2142 0.9080
F2 0.8175 0.7874 0.1541
F3 0.9805 0.0593 0.1152
Ba1 0.6572 0.0005 0.7741
B2 0.7374 0.7529 0.5703
F4 0.5077 0.6728 0.5647
B3 0.7456 0.2791 0.4346
F5 0.9991 0.0597 0.6081
F6 0.9200 0.3070 0.1072
F7 0.5195 0.0593 0.6152
F8 0.2628 0.5398 0.6095
Ba2 0.4041 0.4787 0.7637
F9 0.7125 0.8356 0.4339
F10 0.7615 0.1943 0.5751
B4 0.2456 0.7209 0.0654
F11 0.3297 0.7858 0.5920
F12 0.8151 0.8281 0.5780
B5 0.2544 0.7209 0.5654
F13 0.2494 0.4255 0.8875
F14 0.6703 0.2142 0.4080
Ba3 0.1572 0.9995 0.7259
B6 0.0074 0.7611 0.9246
F15 0.2506 0.4255 0.3875
F16 0.6929 0.2393 0.8631
F17 0.9290 0.6912 0.4320
B7 0.5074 0.2389 0.5754
Ba4 0.5959 0.5213 0.2363
F18 0.4991 0.9403 0.8919
B8 0.9926 0.2389 0.0754
F19 0.0572 0.2689 0.1484
F20 0.6849 0.8281 0.0780
F21 0.5615 0.2826 0.1449
F22 0.4385 0.7174 0.8551
F23 0.0615 0.7174 0.3551
F24 0.0195 0.9407 0.8848
B9 0.7544 0.2791 0.9346
F25 0.4805 0.9407 0.3848
F26 0.0800 0.6930 0.8928
F27 0.5710 0.6912 0.9320
F28 0.3151 0.1719 0.9220
F29 0.7494 0.5745 0.6125
F30 0.9923 0.6728 0.0647
F31 0.7385 0.1943 0.0751
F32 0.2125 0.1644 0.0661
F33 0.0338 0.6786 0.5737
F34 0.1849 0.1719 0.4220
F35 0.5800 0.3070 0.6072
F36 0.5572 0.7311 0.3516
F37 0.6825 0.7874 0.6541
B10 0.2626 0.2471 0.4297
F38 0.4428 0.2689 0.6484
F39 0.4923 0.3272 0.4353
F40 0.1929 0.7607 0.6369
F41 0.0710 0.3088 0.5680
B11 0.9911 0.2401 0.5629
Ba5 0.3428 0.9995 0.2259
Ba6 0.8428 0.0005 0.2741
B12 0.7626 0.7529 0.0703
F42 0.9428 0.7311 0.8516
B13 0.4911 0.7599 0.9371
F43 0.8071 0.2393 0.3631
F44 0.2372 0.5398 0.1095
F45 0.0009 0.9403 0.3919
F46 0.3175 0.2126 0.3459
F47 0.4290 0.3088 0.0680
F48 0.7628 0.4602 0.8905
F49 0.7506 0.5745 0.1125
B14 0.5089 0.2401 0.0629
F50 0.1703 0.7858 0.0920
B15 0.4926 0.7611 0.4246
F51 0.7372 0.4602 0.3905
F52 0.9385 0.2826 0.6449
F53 0.3071 0.7607 0.1369
F54 0.5338 0.3214 0.9263
F55 0.9662 0.3214 0.4263
F56 0.1825 0.2126 0.8459
Ba7 0.0959 0.4787 0.2637
F57 0.2385 0.8057 0.4249
F58 0.0077 0.3272 0.9353
F59 0.4200 0.6930 0.3928
Ba8 0.9041 0.5213 0.7363
F60 0.5009 0.0597 0.1081
F61 0.4662 0.6786 0.0737
B16 0.0089 0.7599 0.4371
F62 0.2615 0.8057 0.9249
F63 0.7875 0.8356 0.9339
F64 0.2875 0.1644 0.5661
```



Here is a geometry-optimized BaGaBO3F2 structure from the Materials Project database. Energies are from PBE.

## Properties
As for the space-group type: P6_3/m.

CIF file:
```
data_BaGaBO3F2
_chemical_formula_sum 'Ba2 Ga2 B2 O6 F4'
_space_group_name_H-M_alt 'P 1'
_space_group_IT_number 1
_cell_length_a 4.9478
_cell_length_b 4.9478
_cell_length_c 9.8662
_cell_angle_alpha 90.00
_cell_angle_beta 90.00
_cell_angle_gamma 120.00
loop_
_space_group_symop_operation_xyz
'x,y,z'
loop_
_atom_site_label
_atom_site_fract_x
_atom_site_fract_y
_atom_site_fract_z
O1 0.0655 0.3767 0.7500
Ba1 0.0000 0.0000 0.0000
Ga1 0.3333 0.6667 0.2500
Ba2 0.0000 0.0000 0.5000
F1 0.6667 0.3333 0.9523
O2 0.6233 0.6889 0.7500
O3 0.6889 0.0655 0.2500
F2 0.3333 0.6667 0.0477
Ga2 0.6667 0.3333 0.7500
O4 0.3111 0.9345 0.7500
F3 0.3333 0.6667 0.4523
O5 0.9345 0.6233 0.2500
B1 0.6667 0.3333 0.2500
F4 0.6667 0.3333 0.5477
O6 0.3767 0.3111 0.2500
B2 0.3333 0.6667 0.7500
```



Here is a geometry-optimized BaMgBO3F structure from the Materials Project database. Energies are from PBE.

## Properties
As for the space-group type: Cc.

CIF file:
```
data_BaMgBO3F
_chemical_formula_sum 'Ba24 Mg24 B24 O72 F24'
_space_group_name_H-M_alt 'P 1'
_space_group_IT_number 1
_cell_length_a 8.2477
_cell_length_b 17.7971
_cell_length_c 17.8137
_cell_angle_alpha 60.03
_cell_angle_beta 89.99
_cell_angle_gamma 89.99
loop_
_space_group_symop_operation_xyz
'x,y,z'
loop_
_atom_site_label
_atom_site_fract_x
_atom_site_fract_y
_atom_site_fract_z
Mg1 0.9178 0.0381 0.3614
O1 0.9308 0.4034 0.4173
B1 0.9337 0.2288 0.3315
B2 0.4242 0.2282 0.3323
Mg2 0.9198 0.5400 0.3583
O2 0.9904 0.2817 0.2481
Mg3 0.4198 0.8983 0.6417
O3 0.9474 0.0843 0.7311
O4 0.4016 0.2079 0.4180
Ba1 0.1892 0.1975 0.1877
O5 0.0044 0.7801 0.2501
Ba2 0.1774 0.2135 0.6916
Mg4 0.4675 0.7561 0.0024
Ba3 0.6639 0.0882 0.4937
O6 0.4400 0.8141 0.7703
Ba4 0.2034 0.9015 0.8099
O7 0.9267 0.7620 0.3867
F1 0.6672 0.7628 0.4860
Ba5 0.7034 0.7114 0.1901
O8 0.3965 0.7103 0.4177
F2 0.2020 0.4214 0.1359
O9 0.3809 0.0298 0.2520
B3 0.9304 0.0628 0.6667
F3 0.6647 0.5292 0.3457
O10 0.9400 0.5845 0.2297
Ba6 0.1639 0.5819 0.5063
F4 0.2175 0.9187 0.1365
O11 0.9759 0.1278 0.0835
F5 0.6622 0.0260 0.3599
B4 0.9193 0.3990 0.4971
O12 0.9213 0.0833 0.2323
O13 0.4759 0.2113 0.9165
F6 0.1647 0.8750 0.6543
Mg5 0.4684 0.0352 0.8588
Mg6 0.4178 0.3995 0.6386
O14 0.9298 0.4030 0.9176
B5 0.4304 0.7295 0.3333
F7 0.7034 0.3808 0.1444
O15 0.4096 0.8919 0.4273
Ba7 0.6730 0.6996 0.6875
O16 0.8620 0.1502 0.3540
O17 0.4463 0.6467 0.6088
O18 0.9000 0.2516 0.8939
F8 0.1650 0.5563 0.3641
B6 0.9242 0.5605 0.6677
O19 0.9096 0.3192 0.5727
O20 0.4376 0.1632 0.3114
O21 0.9209 0.4764 0.1865
F9 0.6671 0.2591 0.4902
B7 0.9460 0.0620 0.1680
O22 0.4585 0.3903 0.9274
O23 0.8965 0.1280 0.5823
O24 0.4151 0.9764 0.4985
O25 0.3620 0.5042 0.6460
O26 0.3721 0.5323 0.2490
Ba8 0.6774 0.9051 0.3084
O27 0.4363 0.3145 0.2680
O28 0.9202 0.9731 0.5055
F10 0.6621 0.4184 0.6368
O29 0.9094 0.8174 0.5750
B8 0.4647 0.8977 0.0015
Mg7 0.4642 0.9001 0.1404
B9 0.9462 0.5619 0.1659
Ba9 0.6892 0.3852 0.8123
Mg8 0.9684 0.8940 0.1412
F11 0.2193 0.7550 0.9995
Mg9 0.9203 0.2579 0.4991
O30 0.4094 0.3924 0.4250
Mg10 0.9443 0.2564 0.9992
O31 0.4202 0.4786 0.4945
O32 0.4267 0.1487 0.6133
O33 0.9016 0.6259 0.5820
Mg11 0.4125 0.5354 0.3582
O34 0.8809 0.2818 0.7480
Mg12 0.4161 0.2564 0.5017
O35 0.4000 0.1455 0.1061
F12 0.7020 0.5573 0.8641
O36 0.4474 0.8154 0.2689
B10 0.4460 0.2300 0.8320
O37 0.4745 0.7061 0.9199
B11 0.4201 0.3977 0.5001
O38 0.9654 0.9745 0.0041
Mg13 0.9448 0.5387 0.8606
O39 0.4209 0.6628 0.8135
O40 0.0061 0.6500 0.8532
O41 0.4564 0.8229 0.0818
Mg14 0.4203 0.7570 0.5009
B12 0.4462 0.7277 0.8341
F13 0.6937 0.2400 0.0249
Mg15 0.4443 0.2556 0.0008
Ba10 0.6915 0.2121 0.1922
B13 0.9647 0.8993 0.9985
Ba11 0.1628 0.0833 0.5076
Ba12 0.6628 0.5909 0.4924
O42 0.4298 0.3230 0.5802
F14 0.7175 0.0552 0.8635
F15 0.7193 0.7544 0.0005
B14 0.4491 0.5614 0.1704
B15 0.9329 0.2287 0.8322
Ba13 0.6763 0.1989 0.6846
O43 0.4730 0.8922 0.9266
O44 0.5160 0.0075 0.1454
O45 0.9298 0.9032 0.4198
B16 0.9447 0.3978 0.9975
Ba14 0.1915 0.4043 0.8078
F16 0.1671 0.7493 0.5098
F17 0.1672 0.2489 0.5140
O46 0.4213 0.3156 0.7677
Ba15 0.1743 0.7096 0.6901
Ba16 0.2052 0.5906 0.9889
F18 0.2181 0.0294 0.8519
O47 0.5061 0.5031 0.1468
B17 0.9491 0.7318 0.8296
O48 0.4654 0.9786 0.9959
O49 0.4308 0.8207 0.5827
F19 0.6650 0.9204 0.6359
Ba17 0.6743 0.3996 0.3099
F20 0.1621 0.0552 0.3632
Mg16 0.4109 0.0330 0.3610
B18 0.4329 0.0609 0.1678
Mg17 0.9675 0.7585 0.9976
O50 0.8634 0.6511 0.3535
B19 0.4447 0.3953 0.0025
O51 0.9564 0.9047 0.9182
O52 0.9151 0.4749 0.5015
Mg18 0.4562 0.5331 0.8607
Ba18 0.1763 0.8835 0.3154
Ba19 0.1730 0.3871 0.3125
O53 0.9730 0.8188 0.0734
O54 0.4298 0.3206 0.0824
Ba20 0.2163 0.0883 0.9964
F21 0.2034 0.5252 0.8556
O55 0.0160 0.1529 0.8546
O56 0.9363 0.5825 0.7320
Ba21 0.2065 0.7013 0.1846
Ba22 0.7163 0.0847 0.0036
F22 0.1622 0.3858 0.6401
B20 0.4320 0.0610 0.6697
B21 0.9320 0.7307 0.3303
B22 0.4193 0.8961 0.5029
Mg19 0.9109 0.3940 0.6390
O57 0.9479 0.4732 0.0030
O58 0.9399 0.9763 0.1882
O59 0.8721 0.7813 0.7510
F23 0.7181 0.8812 0.1481
O60 0.3634 0.0047 0.6465
Mg20 0.9161 0.7581 0.4983
O61 0.4399 0.1645 0.8118
Mg21 0.4448 0.3993 0.1394
O62 0.9745 0.6261 0.0801
O63 0.4734 0.6488 0.1162
O64 0.4904 0.5298 0.7519
O65 0.4479 0.4762 0.9970
F24 0.1937 0.2648 0.9751
B23 0.4337 0.5602 0.6685
Ba23 0.7065 0.8860 0.8154
O66 0.9585 0.3177 0.0726
Mg22 0.9125 0.8936 0.6418
Mg23 0.9562 0.3938 0.1393
O67 0.9734 0.7650 0.8838
B24 0.9201 0.8978 0.4999
O68 0.5044 0.0302 0.7499
O69 0.4488 0.6633 0.3145
O70 0.9488 0.9778 0.6855
Mg24 0.9642 0.0404 0.8596
O71 0.9463 0.2555 0.3912
Ba24 0.7052 0.5794 0.0111
O72 0.9376 0.4746 0.6886
```



Here is a geometry-optimized Ba3B6O11F2 structure from the Materials Project database. Energies are from PBE.

## Properties
As for the space-group type: P2_1.

CIF file:
```
data_Ba3B6O11F2
_chemical_formula_sum 'Ba6 B12 O22 F4'
_space_group_name_H-M_alt 'P 1'
_space_group_IT_number 1
_cell_length_a 8.6087
_cell_length_b 6.6429
_cell_length_c 9.8048
_cell_angle_alpha 78.57
_cell_angle_beta 90.00
_cell_angle_gamma 90.00
loop_
_space_group_symop_operation_xyz
'x,y,z'
loop_
_atom_site_label
_atom_site_fract_x
_atom_site_fract_y
_atom_site_fract_z
B1 0.6836 0.2121 0.7026
B2 0.4384 0.4220 0.6359
O1 0.5905 0.4466 0.9482
O2 0.0438 0.4413 0.4584
Ba1 0.9125 0.0624 0.4638
F1 0.6301 0.1421 0.3878
B3 0.9706 0.4083 0.1348
O3 0.2737 0.6157 0.3416
O4 0.3902 0.4943 0.7649
F2 0.1338 0.1307 0.8846
Ba2 0.0661 0.4938 0.7393
B4 0.2060 0.1906 0.2339
B5 0.4706 0.5917 0.8652
O5 0.7737 0.3843 0.6584
O6 0.7583 0.0301 0.7626
O7 0.8902 0.5057 0.2351
F3 0.6338 0.8693 0.1154
B6 0.2462 0.5045 0.0479
O8 0.0246 0.7824 0.3128
O9 0.5438 0.5587 0.5416
B7 0.9384 0.5780 0.3641
B8 0.7462 0.4955 0.9521
O10 0.7933 0.6212 0.4311
O11 0.8461 0.3600 0.0345
B9 0.2128 0.4176 0.4336
O12 0.3045 0.3227 0.1242
B10 0.7128 0.5824 0.5664
B11 0.1836 0.7879 0.2974
Ba3 0.4125 0.9376 0.5362
O13 0.2933 0.3788 0.5689
O14 0.2583 0.9699 0.2374
O15 0.0421 0.2123 0.1954
F4 0.1301 0.8579 0.6122
B12 0.7060 0.8094 0.7661
Ba4 0.5661 0.5062 0.2607
Ba5 0.9198 0.9385 0.0411
O16 0.3461 0.6400 0.9655
O17 0.2438 0.2383 0.3687
Ba6 0.4198 0.0615 0.9589
O18 0.7438 0.7617 0.6313
O19 0.5246 0.2176 0.6872
O20 0.8045 0.6773 0.8758
O21 0.0905 0.5534 0.0518
O22 0.5421 0.7877 0.8046
```



no.,uncorrected energy (eV per atom),DFT formation energy (meV/atom)
1,-7.160,-1183
2,-7.984,-3054
3,-5.987,-3542
4,-5.960,-3515
5,-6.577,-3163
6,-6.812,-3322
7,-7.553,-3207